# Na2SrSn4 | Materials Project | meta-GGA r2SCAN | optimized geometry
# formation energy: -0.412 eV per atom
# size of the total moment: 0.0 Bohr magnetons per cell
data_Na2SrSn4
_cell_length_a 18.9201
_cell_length_b 6.7972
_cell_length_c 6.6222
_cell_angle_alpha 90.00
_cell_angle_beta 93.92
_cell_angle_gamma 90.00
_symmetry_space_group_name_H-M 'C 1 2/c 1'
_symmetry_Int_Tables_number 15
loop_
_symmetry_equiv_pos_as_xyz
'x,y,z'
'-x,-y,-z'
'-x,y,-z+1/2'
'x,-y,z+1/2'
'x+1/2,y+1/2,z'
'-x+1/2,-y+1/2,-z'
'-x+1/2,y+1/2,-z+1/2'
'x+1/2,-y+1/2,z+1/2'
loop_
_atom_site_label
_atom_site_type_symbol
_atom_site_fract_x
_atom_site_fract_y
_atom_site_fract_z
_atom_site_occupancy
Na1 Na 0.2016 0.1005 0.2005 1
Sr1 Sr 0.0000 0.2746 0.2500 1
Sn1 Sn 0.0784 0.2091 0.7718 1
Sn2 Sn 0.1535 0.4826 0.5152 1

=====

# Na4SnTe4 | Materials Project | meta-GGA r2SCAN | optimized geometry
# formation energy: -0.862 eV per atom
# size of the total moment: 0.0 Bohr magnetons per cell
data_Na4SnTe4
_cell_length_a 8.6548
_cell_length_b 8.8189
_cell_length_c 15.3382
_cell_angle_alpha 90.00
_cell_angle_beta 90.00
_cell_angle_gamma 90.00
_symmetry_space_group_name_H-M 'P 21 21 21'
_symmetry_Int_Tables_number 19
loop_
_symmetry_equiv_pos_as_xyz
'x,y,z'
'-x+1/2,-y,z+1/2'
'x+1/2,-y+1/2,-z'
'-x,y+1/2,-z+1/2'
loop_
_atom_site_label
_atom_site_type_symbol
_atom_site_fract_x
_atom_site_fract_y
_atom_site_fract_z
_atom_site_occupancy
Na1 Na 0.0131 0.0447 0.0881 1
Na2 Na 0.1180 0.6404 0.8718 1
Na3 Na 0.1256 0.7633 0.6343 1
Na4 Na 0.1676 0.6295 0.1323 1
Sn1 Sn 0.2219 0.9338 0.3737 1
Te1 Te 0.0144 0.3464 0.2366 1
Te2 Te 0.0161 0.9580 0.7902 1
Te3 Te 0.1456 0.1654 0.4880 1
Te4 Te 0.1859 0.3164 0.9691 1

=====

# Na5TlSn3 | Materials Project | meta-GGA r2SCAN | optimized geometry
# formation energy: -0.254 eV per atom
# size of the total moment: 0.0 Bohr magnetons per cell
data_Na5TlSn3
_cell_length_a 7.2591
_cell_length_b 13.6217
_cell_length_c 11.3497
_cell_angle_alpha 90.00
_cell_angle_beta 105.07
_cell_angle_gamma 90.00
_symmetry_space_group_name_H-M 'P 1 21/c 1'
_symmetry_Int_Tables_number 14
loop_
_symmetry_equiv_pos_as_xyz
'x,y,z'
'-x,-y,-z'
'-x,y+1/2,-z+1/2'
'x,-y+1/2,z+1/2'
loop_
_atom_site_label
_atom_site_type_symbol
_atom_site_fract_x
_atom_site_fract_y
_atom_site_fract_z
_atom_site_occupancy
Na1 Na 0.0417 0.0874 0.3454 1
Na2 Na 0.0616 0.1889 0.0320 1
Na3 Na 0.3449 0.5548 0.6607 1
Na4 Na 0.3764 0.6090 0.0260 1
Na5 Na 0.4434 0.6872 0.3718 1
Tl1 Tl 0.2224 0.0225 0.8874 1
Sn1 Sn 0.0588 0.6687 0.7806 1
Sn2 Sn 0.2648 0.0900 0.6314 1
Sn3 Sn 0.3370 0.2346 0.8277 1

=====

# Na6ZnSn2 | Materials Project | meta-GGA r2SCAN | optimized geometry
# formation energy: -0.227 eV per atom
# size of the total moment: 0.0 Bohr magnetons per cell
data_Na6ZnSn2
_cell_length_a 10.0049
_cell_length_b 5.4433
_cell_length_c 9.3072
_cell_angle_alpha 90.00
_cell_angle_beta 98.31
_cell_angle_gamma 90.00
_symmetry_space_group_name_H-M 'C 1 2/m 1'
_symmetry_Int_Tables_number 12
loop_
_symmetry_equiv_pos_as_xyz
'x,y,z'
'-x,-y,-z'
'-x,y,-z'
'x,-y,z'
'x+1/2,y+1/2,z'
'-x+1/2,-y+1/2,-z'
'-x+1/2,y+1/2,-z'
'x+1/2,-y+1/2,z'
loop_
_atom_site_label
_atom_site_type_symbol
_atom_site_fract_x
_atom_site_fract_y
_atom_site_fract_z
_atom_site_occupancy
Na1 Na 0.0284 0.0000 0.2256 1
Na2 Na 0.1740 0.5000 0.0919 1
Na3 Na 0.2068 0.0000 0.5687 1
Zn1 Zn 0.0000 0.5000 0.5000 1
Sn1 Sn 0.1463 0.5000 0.7498 1

=====

# NaSr3 | Materials Project | meta-GGA r2SCAN | optimized geometry
# formation energy: 0.069 eV per atom
# size of the total moment: 0.7 Bohr magnetons per cell
data_NaSr3
_cell_length_a 8.3997
_cell_length_b 8.3997
_cell_length_c 6.9204
_cell_angle_alpha 90.00
_cell_angle_beta 90.00
_cell_angle_gamma 120.00
_symmetry_space_group_name_H-M 'P 63/m m c'
_symmetry_Int_Tables_number 194
_symmetry_space_group_name_Hall '-P 6c 2c'
loop_
_atom_site_label
_atom_site_type_symbol
_atom_site_fract_x
_atom_site_fract_y
_atom_site_fract_z
_atom_site_occupancy
Na1 Na 0.3333 0.6667 0.2500 1
Sr1 Sr 0.1677 0.3353 0.7500 1

=====

# NaSr2Tl | Materials Project | meta-GGA r2SCAN | optimized geometry
# formation energy: -0.248 eV per atom
# size of the total moment: 0.0 Bohr magnetons per cell
data_NaSr2Tl
_cell_length_a 8.3354
_cell_length_b 8.3354
_cell_length_c 8.3354
_cell_angle_alpha 90.00
_cell_angle_beta 90.00
_cell_angle_gamma 90.00
_symmetry_space_group_name_H-M 'F m -3 m'
_symmetry_Int_Tables_number 225
_symmetry_space_group_name_Hall '-F 4 2 3'
loop_
_atom_site_label
_atom_site_type_symbol
_atom_site_fract_x
_atom_site_fract_y
_atom_site_fract_z
_atom_site_occupancy
Na1 Na 0.0000 0.0000 0.0000 1
Sr1 Sr 0.2500 0.2500 0.2500 1
Tl1 Tl 0.0000 0.0000 0.5000 1

=====

# NaTbTl2 | Materials Project | meta-GGA r2SCAN | optimized geometry
# formation energy: -0.329 eV per atom
# size of the total moment: 0.0 Bohr magnetons per cell
data_NaTbTl2
_cell_length_a 7.4968
_cell_length_b 7.4968
_cell_length_c 7.4968
_cell_angle_alpha 90.00
_cell_angle_beta 90.00
_cell_angle_gamma 90.00
_symmetry_space_group_name_H-M 'F m -3 m'
_symmetry_Int_Tables_number 225
_symmetry_space_group_name_Hall '-F 4 2 3'
loop_
_atom_site_label
_atom_site_type_symbol
_atom_site_fract_x
_atom_site_fract_y
_atom_site_fract_z
_atom_site_occupancy
Na1 Na 0.0000 0.0000 0.0000 1
Tb1 Tb 0.0000 0.0000 0.5000 1
Tl1 Tl 0.2500 0.2500 0.2500 1

=====

Q: What is the size of the total moment in the fourth record?
A: 0.0 Bohr magnetons per cell

=====

Q: Look up the size of the total moment of the third one.
A: 0.0 Bohr magnetons per cell

=====

Q: What is the formula in the fourth record?
A: Na6ZnSn2